{
  "formula": "MgCo4S8",
  "functional": "GGA-PBE",
  "state": "optimized geometry",
  "lattice_angstrom": [[-5.7810, -2.7199, -2.8552], [0.5240, -4.3966, -5.4363], [-1.4477, -6.7845, 0.8515]],
  "species": ["Co", "Co", "Co", "Co", "S", "S", "S", "S", "S", "S", "S", "S", "Mg"],
  "fractional_positions": [[0.0435, 0.4869, 0.4841], [0.4871, 0.0385, 0.4868], [0.4860, 0.4879, 0.4859], [0.4841, 0.4867, 0.0438], [0.2667, 0.2641, 0.2670], [0.2679, 0.2652, 0.7006], [0.7541, 0.7550, 0.2356], [0.2658, 0.7036, 0.2661], [0.7554, 0.7569, 0.7556], [0.7008, 0.2650, 0.2680], [0.2364, 0.7546, 0.7541], [0.7550, 0.2330, 0.7553], [0.6273, 0.6227, 0.6270]],
  "formation_energy_ev_per_atom": -0.322,
  "energy_ev_per_fu": -63.293,
  "magnetic_moment_mub_per_cell": 2.0,
  "e_above_lowest_polymorph_ev_per_atom": 0.424
}



{
  "formula": "MgCo2S4",
  "functional": "GGA-PBE",
  "state": "optimized geometry",
  "lattice_angstrom": [[-5.7224, -1.7053, -3.5231], [-6.0370, 3.0597, 1.5030], [-2.8024, 4.5135, -4.4543]],
  "species": ["Co", "Co", "Co", "Co", "S", "S", "S", "S", "S", "S", "S", "S", "Mg", "Mg"],
  "fractional_positions": [[0.1250, 0.6250, 0.6250], [0.6250, 0.6250, 0.6250], [0.6250, 0.1250, 0.6250], [0.6250, 0.6250, 0.1250], [0.3934, 0.3934, 0.8197], [0.8197, 0.3934, 0.3934], [0.4303, 0.8566, 0.8566], [0.3934, 0.8197, 0.3934], [0.8566, 0.8566, 0.4303], [0.8566, 0.4303, 0.8566], [0.8566, 0.8566, 0.8566], [0.3934, 0.3934, 0.3934], [0.0000, 0.0000, 0.0000], [0.2500, 0.2500, 0.2500]],
  "formation_energy_ev_per_atom": -0.919,
  "energy_ev_per_fu": -36.784,
  "magnetic_moment_mub_per_cell": 0.0,
  "e_above_lowest_polymorph_ev_per_atom": 0.000
}



{
  "formula": "MgCo4S8",
  "functional": "GGA-PBE",
  "state": "optimized geometry",
  "lattice_angstrom": [[-3.2769, 4.1802, -4.0888], [-3.0050, -2.4496, -5.4681], [-6.6951, -0.2253, -0.2368]],
  "species": ["Co", "Co", "Co", "Co", "S", "S", "S", "S", "S", "S", "S", "S", "Mg"],
  "fractional_positions": [[0.5000, 0.5000, 0.0000], [0.5000, 0.5000, 0.5000], [0.0000, 0.5000, 0.5000], [0.5000, 0.0000, 0.5000], [0.2636, 0.2636, 0.2636], [0.7363, 0.2928, 0.7363], [0.2637, 0.2637, 0.7072], [0.2928, 0.7363, 0.7363], [0.7364, 0.7364, 0.7364], [0.7363, 0.7363, 0.2928], [0.7072, 0.2637, 0.2637], [0.2637, 0.7072, 0.2637], [0.0000, 0.0000, 0.0000]],
  "formation_energy_ev_per_atom": -0.740,
  "energy_ev_per_fu": -68.720,
  "magnetic_moment_mub_per_cell": 0.0,
  "e_above_lowest_polymorph_ev_per_atom": 0.006
}